Record 1
Below is an optimized crystal structure of Hg2H10C3NCl5, with properties calculated at the GGA-PBE level. Values from VASP.

Values from the calculation:
The formation energy comes out at -50.6 kJ per mole of atoms. As for the total energy: -4.179 eV per atom. The value obtained for the volume is 691 Å³ per cell.

Structure (Quantum ESPRESSO input):
```
&SYSTEM
  ibrav = 0, nat = 42, ntyp = 5
/
ATOMIC_SPECIES
Hg 200.59 Hg.upf
H 1.01 H.upf
C 12.01 C.upf
N 14.01 N.upf
Cl 35.45 Cl.upf
CELL_PARAMETERS angstrom
6.386 0.000 0.000
-1.552 10.135 0.000
-2.806 -1.262 10.677
ATOMIC_POSITIONS crystal
Hg 0.080 0.391 0.164
Hg 0.313 0.628 0.569
Hg 0.687 0.372 0.431
Hg 0.920 0.609 0.836
H 0.105 0.050 0.694
H 0.157 0.220 0.664
H 0.262 0.096 0.585
H 0.272 0.142 0.923
H 0.315 0.945 0.131
H 0.339 0.306 0.879
H 0.415 0.954 0.822
H 0.440 0.008 0.293
H 0.448 0.772 0.032
H 0.456 0.779 0.249
H 0.544 0.221 0.751
H 0.552 0.228 0.968
H 0.560 0.992 0.707
H 0.585 0.046 0.178
H 0.661 0.694 0.121
H 0.685 0.055 0.869
H 0.728 0.858 0.077
H 0.738 0.904 0.415
H 0.843 0.780 0.336
H 0.895 0.950 0.306
C 0.223 0.128 0.672
C 0.396 0.211 0.895
C 0.470 0.971 0.205
C 0.530 0.029 0.795
C 0.604 0.789 0.105
C 0.777 0.872 0.328
N 0.431 0.152 0.776
N 0.569 0.848 0.224
Cl 0.006 0.157 0.127
Cl 0.110 0.622 0.153
Cl 0.194 0.397 0.440
Cl 0.328 0.830 0.471
Cl 0.408 0.586 0.791
Cl 0.592 0.414 0.209
Cl 0.672 0.170 0.529
Cl 0.806 0.603 0.560
Cl 0.890 0.378 0.847
Cl 0.994 0.843 0.873
```

=====

Record 2
Below is an optimized crystal structure of Mo3WSe2S6, with properties calculated at the GGA-PBE level. Values from VASP.

Values from the calculation:
The formation energy comes out at -101.1 kJ per mole of atoms. As for the total energy: -7.238 eV per atom. The value obtained for the volume is 334 Å³ per cell.

Structure (Quantum ESPRESSO input):
```
&SYSTEM
  ibrav = 0, nat = 12, ntyp = 4
/
ATOMIC_SPECIES
Mo 95.94 Mo.upf
W 183.84 W.upf
Se 78.96 Se.upf
S 32.06 S.upf
CELL_PARAMETERS angstrom
3.222 0.000 0.000
-1.611 2.790 0.000
0.000 0.000 37.127
ATOMIC_POSITIONS crystal
Mo 0.000 0.000 0.000
Mo 0.000 0.000 0.377
Mo 0.667 0.333 0.812
W 0.667 0.333 0.187
Se 0.667 0.333 0.331
Se 0.667 0.333 0.423
S 0.000 0.000 0.145
S 0.000 0.000 0.229
S 0.000 0.000 0.770
S 0.000 0.000 0.854
S 0.667 0.333 0.042
S 0.667 0.333 0.958
```

=====

Record 3
Below is an optimized crystal structure of Dy4Ge6Rh7, with properties calculated at the GGA-PBE level. Values from VASP.

Values from the calculation:
The formation energy comes out at -90.9 kJ per mole of atoms. As for the total energy: -6.690 eV per atom. The value obtained for the volume is 298 Å³ per cell.

Structure (Quantum ESPRESSO input):
```
&SYSTEM
  ibrav = 0, nat = 17, ntyp = 3
/
ATOMIC_SPECIES
Dy 162.50 Dy.upf
Ge 72.64 Ge.upf
Rh 102.91 Rh.upf
CELL_PARAMETERS angstrom
-4.209 4.209 4.209
4.209 -4.209 4.209
4.209 4.209 -4.209
ATOMIC_POSITIONS crystal
Dy 0.000 0.000 0.500
Dy 0.000 0.500 0.000
Dy 0.500 0.000 0.000
Dy 0.500 0.500 0.500
Ge 0.000 0.320 0.320
Ge 0.000 0.680 0.680
Ge 0.320 0.000 0.320
Ge 0.320 0.320 0.000
Ge 0.680 0.000 0.680
Ge 0.680 0.680 0.000
Rh 0.000 0.000 0.000
Rh 0.250 0.500 0.750
Rh 0.250 0.750 0.500
Rh 0.500 0.250 0.750
Rh 0.500 0.750 0.250
Rh 0.750 0.250 0.500
Rh 0.750 0.500 0.250
```

=====

Record 4
Below is an optimized crystal structure of Ho5Pb4, with properties calculated at the GGA-PBE level. Values from VASP.

Values from the calculation:
The formation energy comes out at -49.4 kJ per mole of atoms. As for the total energy: -4.708 eV per atom. The value obtained for the volume is 1055 Å³ per cell.

Structure (Quantum ESPRESSO input):
```
&SYSTEM
  ibrav = 0, nat = 36, ntyp = 2
/
ATOMIC_SPECIES
Ho 164.93 Ho.upf
Pb 207.20 Pb.upf
CELL_PARAMETERS angstrom
8.171 0.000 0.000
0.000 15.669 0.000
0.000 0.000 8.238
ATOMIC_POSITIONS crystal
Ho 0.033 0.100 0.178
Ho 0.033 0.400 0.178
Ho 0.122 0.620 0.340
Ho 0.122 0.880 0.340
Ho 0.208 0.250 0.503
Ho 0.292 0.750 0.003
Ho 0.378 0.120 0.840
Ho 0.378 0.380 0.840
Ho 0.467 0.600 0.678
Ho 0.467 0.900 0.678
Ho 0.533 0.100 0.322
Ho 0.533 0.400 0.322
Ho 0.622 0.620 0.160
Ho 0.622 0.880 0.160
Ho 0.708 0.250 0.997
Ho 0.792 0.750 0.497
Ho 0.878 0.120 0.660
Ho 0.878 0.380 0.660
Ho 0.967 0.600 0.822
Ho 0.967 0.900 0.822
Pb 0.071 0.250 0.872
Pb 0.155 0.750 0.651
Pb 0.219 0.042 0.532
Pb 0.219 0.458 0.532
Pb 0.281 0.542 0.032
Pb 0.281 0.958 0.032
Pb 0.345 0.250 0.151
Pb 0.429 0.750 0.372
Pb 0.571 0.250 0.628
Pb 0.655 0.750 0.849
Pb 0.719 0.042 0.968
Pb 0.719 0.458 0.968
Pb 0.781 0.542 0.468
Pb 0.781 0.958 0.468
Pb 0.845 0.250 0.349
Pb 0.929 0.750 0.128
```

=====

Record 5
Below is an optimized crystal structure of GdSnF7, with properties calculated at the GGA-PBE level. Values from VASP.

Values from the calculation:
The formation energy comes out at -341.3 kJ per mole of atoms. As for the total energy: -6.677 eV per atom. The value obtained for the volume is 566 Å³ per cell.

Structure (Quantum ESPRESSO input):
```
&SYSTEM
  ibrav = 0, nat = 36, ntyp = 3
/
ATOMIC_SPECIES
Gd 157.25 Gd.upf
Sn 118.71 Sn.upf
F 19.00 F.upf
CELL_PARAMETERS angstrom
9.112 0.000 0.000
0.000 5.728 0.000
-5.688 0.000 10.851
ATOMIC_POSITIONS crystal
Gd 0.187 0.242 0.265
Gd 0.187 0.258 0.765
Gd 0.813 0.742 0.235
Gd 0.813 0.758 0.735
Sn 0.273 0.744 0.043
Sn 0.273 0.756 0.543
Sn 0.727 0.244 0.457
Sn 0.727 0.256 0.957
F 0.026 0.741 0.947
F 0.026 0.759 0.447
F 0.029 0.580 0.734
F 0.029 0.920 0.234
F 0.255 0.543 0.171
F 0.255 0.957 0.671
F 0.270 0.020 0.142
F 0.270 0.480 0.642
F 0.282 0.047 0.455
F 0.282 0.453 0.955
F 0.292 0.548 0.420
F 0.292 0.952 0.920
F 0.481 0.230 0.359
F 0.481 0.270 0.859
F 0.519 0.730 0.141
F 0.519 0.770 0.641
F 0.708 0.048 0.080
F 0.708 0.452 0.580
F 0.718 0.547 0.045
F 0.718 0.953 0.545
F 0.730 0.520 0.358
F 0.730 0.980 0.858
F 0.745 0.043 0.329
F 0.745 0.457 0.829
F 0.971 0.080 0.766
F 0.971 0.420 0.266
F 0.974 0.241 0.553
F 0.974 0.259 0.053
```

=====

Record 6
Below is an optimized crystal structure of CeSiBRh3, with properties calculated at the GGA-PBE level. Values from VASP.

Values from the calculation:
The formation energy comes out at -74.0 kJ per mole of atoms. As for the total energy: -7.456 eV per atom. The value obtained for the volume is 91 Å³ per cell.

Structure (Quantum ESPRESSO input):
```
&SYSTEM
  ibrav = 0, nat = 6, ntyp = 4
/
ATOMIC_SPECIES
Ce 140.12 Ce.upf
Si 28.09 Si.upf
B 10.81 B.upf
Rh 102.91 Rh.upf
CELL_PARAMETERS angstrom
5.533 0.000 0.000
-2.767 4.792 0.000
0.000 0.000 3.449
ATOMIC_POSITIONS crystal
Ce 0.000 0.000 0.000
Si 0.667 0.333 0.000
B 0.333 0.667 0.000
Rh 0.012 0.506 0.500
Rh 0.494 0.506 0.500
Rh 0.494 0.988 0.500
```

=====

Record 7
Below is an optimized crystal structure of AcMgO3, with properties calculated at the GGA-PBE level. Values from VASP.

Values from the calculation:
The formation energy comes out at -290.2 kJ per mole of atoms. As for the total energy: -6.709 eV per atom. The value obtained for the volume is 65 Å³ per cell.

Structure (Quantum ESPRESSO input):
```
&SYSTEM
  ibrav = 0, nat = 5, ntyp = 3
/
ATOMIC_SPECIES
Ac 227.00 Ac.upf
Mg 24.30 Mg.upf
O 16.00 O.upf
CELL_PARAMETERS angstrom
4.016 0.000 0.000
0.000 4.016 0.000
0.000 0.000 4.016
ATOMIC_POSITIONS crystal
Ac 0.000 0.000 0.000
Mg 0.500 0.500 0.500
O 0.000 0.500 0.500
O 0.500 0.000 0.500
O 0.500 0.500 0.000
```

=====

Record 8
Below is an optimized crystal structure of Bi12PO20, with properties calculated at the GGA-PBE level. Values from VASP.

Values from the calculation:
The formation energy comes out at -169.0 kJ per mole of atoms. As for the total energy: -5.913 eV per atom. The value obtained for the volume is 551 Å³ per cell.

Structure (Quantum ESPRESSO input):
```
&SYSTEM
  ibrav = 0, nat = 33, ntyp = 3
/
ATOMIC_SPECIES
Bi 208.98 Bi.upf
P 30.97 P.upf
O 16.00 O.upf
CELL_PARAMETERS angstrom
-5.163 5.163 5.163
5.163 -5.163 5.163
5.163 5.163 -5.163
ATOMIC_POSITIONS crystal
Bi 0.148 0.301 0.802
Bi 0.153 0.852 0.654
Bi 0.198 0.499 0.346
Bi 0.301 0.802 0.148
Bi 0.346 0.198 0.499
Bi 0.499 0.346 0.198
Bi 0.501 0.699 0.847
Bi 0.654 0.153 0.852
Bi 0.699 0.847 0.501
Bi 0.802 0.148 0.301
Bi 0.847 0.501 0.699
Bi 0.852 0.654 0.153
P 0.000 0.000 0.000
O 0.000 0.000 0.176
O 0.000 0.000 0.599
O 0.000 0.176 0.000
O 0.000 0.599 0.000
O 0.118 0.758 0.376
O 0.176 0.000 0.000
O 0.242 0.360 0.618
O 0.258 0.640 0.882
O 0.360 0.618 0.242
O 0.376 0.118 0.758
O 0.382 0.742 0.624
O 0.401 0.401 0.401
O 0.599 0.000 0.000
O 0.618 0.242 0.360
O 0.624 0.382 0.742
O 0.640 0.882 0.258
O 0.742 0.624 0.382
O 0.758 0.376 0.118
O 0.824 0.824 0.824
O 0.882 0.258 0.640
```

=====

Record 9
Below is an optimized crystal structure of Na2LiAlP2H2O9, with properties calculated at the GGA-PBE level. Values from VASP.

Values from the calculation:
The formation energy comes out at -247.6 kJ per mole of atoms. As for the total energy: -6.346 eV per atom. The value obtained for the volume is 1423 Å³ per cell.

Structure (Quantum ESPRESSO input):
```
&SYSTEM
  ibrav = 0, nat = 136, ntyp = 6
/
ATOMIC_SPECIES
Na 22.99 Na.upf
Li 6.94 Li.upf
Al 26.98 Al.upf
P 30.97 P.upf
H 1.01 H.upf
O 16.00 O.upf
CELL_PARAMETERS angstrom
14.209 0.000 0.000
0.000 7.032 0.000
0.000 0.000 14.247
ATOMIC_POSITIONS crystal
Na 0.000 0.000 0.000
Na 0.000 0.000 0.500
Na 0.000 0.459 0.250
Na 0.000 0.541 0.750
Na 0.250 0.000 0.021
Na 0.250 0.000 0.521
Na 0.250 0.500 0.246
Na 0.250 0.500 0.746
Na 0.500 0.000 0.000
Na 0.500 0.000 0.500
Na 0.500 0.459 0.750
Na 0.500 0.541 0.250
Na 0.750 0.000 0.479
Na 0.750 0.000 0.979
Na 0.750 0.500 0.254
Na 0.750 0.500 0.754
Li 0.126 0.240 0.874
Li 0.126 0.760 0.374
Li 0.374 0.240 0.374
Li 0.374 0.760 0.874
Li 0.626 0.240 0.126
Li 0.626 0.760 0.626
Li 0.874 0.240 0.626
Li 0.874 0.760 0.126
Al 0.000 0.500 0.000
Al 0.000 0.500 0.500
Al 0.250 0.500 0.001
Al 0.250 0.500 0.501
Al 0.500 0.500 0.000
Al 0.500 0.500 0.500
Al 0.750 0.500 0.499
Al 0.750 0.500 0.999
P 0.121 0.239 0.644
P 0.121 0.761 0.144
P 0.130 0.222 0.368
P 0.130 0.778 0.868
P 0.370 0.222 0.868
P 0.370 0.778 0.368
P 0.379 0.239 0.144
P 0.379 0.761 0.644
P 0.621 0.239 0.356
P 0.621 0.761 0.856
P 0.630 0.222 0.632
P 0.630 0.778 0.132
P 0.870 0.222 0.132
P 0.870 0.778 0.632
P 0.879 0.239 0.856
P 0.879 0.761 0.356
H 0.125 0.301 0.060
H 0.125 0.699 0.560
H 0.126 0.089 0.203
H 0.126 0.911 0.703
H 0.374 0.089 0.703
H 0.374 0.911 0.203
H 0.375 0.301 0.560
H 0.375 0.699 0.060
H 0.625 0.301 0.940
H 0.625 0.699 0.440
H 0.626 0.089 0.797
H 0.626 0.911 0.297
H 0.874 0.089 0.297
H 0.874 0.911 0.797
H 0.875 0.301 0.440
H 0.875 0.699 0.940
O 0.031 0.305 0.590
O 0.031 0.695 0.090
O 0.042 0.338 0.401
O 0.042 0.662 0.901
O 0.119 0.309 0.745
O 0.119 0.691 0.245
O 0.123 0.016 0.637
O 0.123 0.984 0.137
O 0.125 0.387 0.006
O 0.125 0.613 0.506
O 0.129 0.021 0.408
O 0.129 0.979 0.908
O 0.130 0.225 0.259
O 0.130 0.775 0.759
O 0.211 0.315 0.593
O 0.211 0.685 0.093
O 0.220 0.328 0.401
O 0.220 0.672 0.901
O 0.280 0.328 0.901
O 0.280 0.672 0.401
O 0.289 0.315 0.093
O 0.289 0.685 0.593
O 0.370 0.225 0.759
O 0.370 0.775 0.259
O 0.371 0.021 0.908
O 0.371 0.979 0.408
O 0.375 0.387 0.506
O 0.375 0.613 0.006
O 0.377 0.016 0.137
O 0.377 0.984 0.637
O 0.381 0.309 0.245
O 0.381 0.691 0.745
O 0.458 0.338 0.901
O 0.458 0.662 0.401
O 0.469 0.305 0.090
O 0.469 0.695 0.590
O 0.531 0.305 0.410
O 0.531 0.695 0.910
O 0.542 0.338 0.599
O 0.542 0.662 0.099
O 0.619 0.309 0.255
O 0.619 0.691 0.755
O 0.623 0.016 0.363
O 0.623 0.984 0.863
O 0.625 0.387 0.994
O 0.625 0.613 0.494
O 0.629 0.021 0.592
O 0.629 0.979 0.092
O 0.630 0.225 0.741
O 0.630 0.775 0.241
O 0.711 0.315 0.407
O 0.711 0.685 0.907
O 0.720 0.328 0.599
O 0.720 0.672 0.099
O 0.780 0.328 0.099
O 0.780 0.672 0.599
O 0.789 0.315 0.907
O 0.789 0.685 0.407
O 0.870 0.225 0.241
O 0.870 0.775 0.741
O 0.871 0.021 0.092
O 0.871 0.979 0.592
O 0.875 0.387 0.494
O 0.875 0.613 0.994
O 0.877 0.016 0.863
O 0.877 0.984 0.363
O 0.881 0.309 0.755
O 0.881 0.691 0.255
O 0.958 0.338 0.099
O 0.958 0.662 0.599
O 0.969 0.305 0.910
O 0.969 0.695 0.410
```

=====

Record 10
Below is an optimized crystal structure of Te6MoW3Se2, with properties calculated at the GGA-PBE level. Values from VASP.

Values from the calculation:
The formation energy comes out at -27.6 kJ per mole of atoms. As for the total energy: -6.505 eV per atom. The value obtained for the volume is 421 Å³ per cell.

Structure (Quantum ESPRESSO input):
```
&SYSTEM
  ibrav = 0, nat = 12, ntyp = 4
/
ATOMIC_SPECIES
Te 127.60 Te.upf
Mo 95.94 Mo.upf
W 183.84 W.upf
Se 78.96 Se.upf
CELL_PARAMETERS angstrom
3.503 0.000 0.000
-1.751 3.034 0.000
0.000 0.000 39.654
ATOMIC_POSITIONS crystal
Te 0.000 0.000 0.000
Te 0.000 0.000 0.093
Te 0.000 0.000 0.376
Te 0.000 0.000 0.469
Te 0.667 0.333 0.564
Te 0.667 0.333 0.656
Mo 0.000 0.000 0.234
W 0.000 0.000 0.610
W 0.667 0.333 0.046
W 0.667 0.333 0.422
Se 0.667 0.333 0.193
Se 0.667 0.333 0.275
```